Entry from the Materials Project: a relaxed structure of CsLaZr6CCl18 (PBE-GGA).

MP2020-corrected energy, eV for the cell shown: -323.8
Total magnetization, μB per formula unit: 0.02
Calculated formation energy, eV/atom: -2.306
Crystal system: trigonal

```
data_CsLaZr6CCl18
_chemical_formula_sum 'Cs2 La2 Zr12 C2 Cl36'
_cell_length_a 9.666
_cell_length_b 9.666
_cell_length_c 18.309
_cell_angle_alpha 90.00
_cell_angle_beta 90.00
_cell_angle_gamma 120.00
_space_group_name_H-M_alt 'P 1'
_space_group_IT_number 1
_space_group_name_Hall 'P 1'
loop_
_atom_site_label
_atom_site_type_symbol
_atom_site_fract_x
_atom_site_fract_y
_atom_site_fract_z
Cs1 Cs 0.333 0.667 0.750
Cs2 Cs 0.667 0.333 0.250
La1 La 0.667 0.333 0.750
La2 La 0.333 0.667 0.250
Zr1 Zr 0.829 0.039 0.572
Zr2 Zr 0.171 0.961 0.428
Zr3 Zr 0.961 0.790 0.572
Zr4 Zr 0.829 0.790 0.928
Zr5 Zr 0.039 0.210 0.428
Zr6 Zr 0.171 0.210 0.072
Zr7 Zr 0.210 0.171 0.572
Zr8 Zr 0.961 0.171 0.928
Zr9 Zr 0.790 0.829 0.428
Zr10 Zr 0.039 0.829 0.072
Zr11 Zr 0.210 0.039 0.928
Zr12 Zr 0.790 0.961 0.072
C1 C 0.000 0.000 0.500
C2 C 0.000 0.000 0.000
Cl1 Cl 0.274 0.422 0.501
Cl2 Cl 0.726 0.578 0.499
Cl3 Cl 0.578 0.851 0.501
Cl4 Cl 0.274 0.851 0.999
Cl5 Cl 0.422 0.149 0.499
Cl6 Cl 0.726 0.149 0.001
Cl7 Cl 0.149 0.726 0.501
Cl8 Cl 0.578 0.726 0.999
Cl9 Cl 0.851 0.274 0.499
Cl10 Cl 0.422 0.274 0.001
Cl11 Cl 0.149 0.422 0.999
Cl12 Cl 0.851 0.578 0.001
Cl13 Cl 0.043 0.233 0.660
Cl14 Cl 0.957 0.767 0.340
Cl15 Cl 0.767 0.809 0.660
Cl16 Cl 0.043 0.809 0.840
Cl17 Cl 0.233 0.191 0.340
Cl18 Cl 0.957 0.191 0.160
Cl19 Cl 0.191 0.957 0.660
Cl20 Cl 0.767 0.957 0.840
Cl21 Cl 0.809 0.043 0.340
Cl22 Cl 0.233 0.043 0.160
Cl23 Cl 0.191 0.233 0.840
Cl24 Cl 0.809 0.767 0.160
Cl25 Cl 0.622 0.075 0.661
Cl26 Cl 0.378 0.925 0.339
Cl27 Cl 0.925 0.548 0.661
Cl28 Cl 0.622 0.548 0.839
Cl29 Cl 0.075 0.452 0.339
Cl30 Cl 0.378 0.452 0.161
Cl31 Cl 0.452 0.378 0.661
Cl32 Cl 0.925 0.378 0.839
Cl33 Cl 0.548 0.622 0.339
Cl34 Cl 0.075 0.622 0.161
Cl35 Cl 0.452 0.075 0.839
Cl36 Cl 0.548 0.925 0.161
```


Entry from the Materials Project: a relaxed structure of SrCu9Ge4 (PBE-GGA).

Total magnetization, μB per formula unit: 0.00
Calculated formation energy, eV/atom: -0.156
Crystal system: tetragonal

```
data_SrCu9Ge4
_chemical_formula_sum 'Sr2 Cu18 Ge8'
_cell_length_a 8.386
_cell_length_b 8.386
_cell_length_c 8.386
_cell_angle_alpha 120.58
_cell_angle_beta 120.58
_cell_angle_gamma 89.00
_space_group_name_H-M_alt 'P 1'
_space_group_IT_number 1
_space_group_name_Hall 'P 1'
loop_
_atom_site_label
_atom_site_type_symbol
_atom_site_fract_x
_atom_site_fract_y
_atom_site_fract_z
Sr1 Sr 0.250 0.250 0.000
Sr2 Sr 0.750 0.750 0.000
Cu1 Cu 0.061 0.561 0.265
Cu2 Cu 0.704 0.204 0.265
Cu3 Cu 0.939 0.439 0.735
Cu4 Cu 0.439 0.704 0.500
Cu5 Cu 0.204 0.939 0.500
Cu6 Cu 0.561 0.296 0.500
Cu7 Cu 0.796 0.061 0.500
Cu8 Cu 0.296 0.796 0.735
Cu9 Cu 0.438 0.297 0.735
Cu10 Cu 0.797 0.938 0.735
Cu11 Cu 0.000 0.500 0.500
Cu12 Cu 0.500 0.000 0.500
Cu13 Cu 0.562 0.703 0.265
Cu14 Cu 0.703 0.438 0.141
Cu15 Cu 0.297 0.562 0.859
Cu16 Cu 0.938 0.203 0.141
Cu17 Cu 0.062 0.797 0.859
Cu18 Cu 0.203 0.062 0.265
Ge1 Ge 0.801 0.301 0.858
Ge2 Ge 0.557 0.057 0.858
Ge3 Ge 0.199 0.699 0.142
Ge4 Ge 0.699 0.557 0.500
Ge5 Ge 0.057 0.199 0.500
Ge6 Ge 0.301 0.443 0.500
Ge7 Ge 0.943 0.801 0.500
Ge8 Ge 0.443 0.943 0.142
```


Entry from the Materials Project: a relaxed structure of Nd2CO5 (PBE-GGA).

MP2020-corrected energy, eV for the cell shown: -136.1
Calculated formation energy, eV/atom: -3.065
Crystal system: orthorhombic

```
data_Nd2CO5
_chemical_formula_sum 'Nd4 C2 O10'
_cell_length_a 3.821
_cell_length_b 3.821
_cell_length_c 15.701
_cell_angle_alpha 90.00
_cell_angle_beta 90.00
_cell_angle_gamma 118.90
_space_group_name_H-M_alt 'P 1'
_space_group_IT_number 1
_space_group_name_Hall 'P 1'
loop_
_atom_site_label
_atom_site_type_symbol
_atom_site_fract_x
_atom_site_fract_y
_atom_site_fract_z
Nd1 Nd 0.355 0.645 0.402
Nd2 Nd 0.355 0.645 0.098
Nd3 Nd 0.645 0.355 0.902
Nd4 Nd 0.645 0.355 0.598
C1 C 0.096 0.904 0.250
C2 C 0.904 0.096 0.750
O1 O 0.000 0.000 0.678
O2 O 0.291 0.709 0.250
O3 O 0.000 0.000 0.322
O4 O 0.000 0.000 0.822
O5 O 0.315 0.685 0.931
O6 O 0.315 0.685 0.569
O7 O 0.685 0.315 0.431
O8 O 0.685 0.315 0.069
O9 O 0.000 0.000 0.178
O10 O 0.709 0.291 0.750
```


Entry from the Materials Project: a relaxed structure of ThMn2 (PBE-GGA).

Total magnetization, μB per formula unit: 3.43
Calculated formation energy, eV/atom: 0.073
Crystal system: hexagonal

```
data_ThMn2
_chemical_formula_sum 'Th4 Mn8'
_cell_length_a 5.343
_cell_length_b 5.343
_cell_length_c 8.470
_cell_angle_alpha 90.00
_cell_angle_beta 90.00
_cell_angle_gamma 120.00
_space_group_name_H-M_alt 'P 1'
_space_group_IT_number 1
_space_group_name_Hall 'P 1'
loop_
_atom_site_label
_atom_site_type_symbol
_atom_site_fract_x
_atom_site_fract_y
_atom_site_fract_z
Th1 Th 0.333 0.667 0.439
Th2 Th 0.667 0.333 0.561
Th3 Th 0.667 0.333 0.939
Th4 Th 0.333 0.667 0.061
Mn1 Mn 0.000 0.000 0.500
Mn2 Mn 0.000 0.000 0.000
Mn3 Mn 0.840 0.160 0.250
Mn4 Mn 0.840 0.680 0.250
Mn5 Mn 0.320 0.160 0.250
Mn6 Mn 0.160 0.840 0.750
Mn7 Mn 0.160 0.320 0.750
Mn8 Mn 0.680 0.840 0.750
```


Entry from the Materials Project: a relaxed structure of Nd3O2F5 (PBE-GGA).

MP2020-corrected energy, eV for the cell shown: -149.4
Total magnetization, μB per formula unit: 0.00
Calculated formation energy, eV/atom: -4.093
Crystal system: monoclinic
E above lowest polymorph, meV/atom: 0

```
data_Nd3O2F5
_chemical_formula_sum 'Nd6 O4 F10'
_cell_length_a 3.739
_cell_length_b 5.263
_cell_length_c 16.725
_cell_angle_alpha 87.23
_cell_angle_beta 90.00
_cell_angle_gamma 90.00
_space_group_name_H-M_alt 'P 1'
_space_group_IT_number 1
_space_group_name_Hall 'P 1'
loop_
_atom_site_label
_atom_site_type_symbol
_atom_site_fract_x
_atom_site_fract_y
_atom_site_fract_z
Nd1 Nd 0.250 0.186 0.070
Nd2 Nd 0.250 0.176 0.398
Nd3 Nd 0.250 0.233 0.724
Nd4 Nd 0.750 0.698 0.251
Nd5 Nd 0.750 0.763 0.582
Nd6 Nd 0.750 0.694 0.916
O1 O 0.250 0.895 0.647
O2 O 0.750 0.002 0.338
O3 O 0.750 0.405 0.667
O4 O 0.750 0.348 0.991
F1 F 0.250 0.912 0.191
F2 F 0.250 0.757 0.484
F3 F 0.250 0.439 0.271
F4 F 0.250 0.907 0.957
F5 F 0.250 0.535 0.842
F6 F 0.750 0.356 0.149
F7 F 0.750 0.489 0.380
F8 F 0.750 0.877 0.073
F9 F 0.750 0.168 0.502
F10 F 0.750 0.025 0.805
```


Entry from the Materials Project: a relaxed structure of TmBiRh (PBE-GGA).

Total magnetization, μB per formula unit: 0.00
Calculated formation energy, eV/atom: -0.195
Crystal system: cubic

```
data_TmBiRh
_chemical_formula_sum 'Tm1 Bi1 Rh1'
_cell_length_a 4.753
_cell_length_b 4.753
_cell_length_c 4.753
_cell_angle_alpha 60.00
_cell_angle_beta 60.00
_cell_angle_gamma 60.00
_space_group_name_H-M_alt 'P 1'
_space_group_IT_number 1
_space_group_name_Hall 'P 1'
loop_
_atom_site_label
_atom_site_type_symbol
_atom_site_fract_x
_atom_site_fract_y
_atom_site_fract_z
Tm1 Tm 0.000 0.000 0.000
Bi1 Bi 0.250 0.250 0.250
Rh1 Rh 0.500 0.500 0.500
```